Entry from Materials Project: a relaxed Li3CrP2O8 crystal (PBE with a Hubbard U).

Cell lengths 8.7885, 8.7885, 6.7511 Å; angles 90.00, 90.00, 120.00 degrees
Space group P-3 (No. 147)
Inequivalent atoms, fractional coordinates:
Li 0.0000 0.0000 0.0000 [1 per cell]
Li 0.0698 0.6970 0.7671 [6 per cell]
Li 0.3333 0.6667 0.9770 [2 per cell]
Cr 0.0000 0.0000 0.5000 [1 per cell]
Cr 0.3333 0.6667 0.5488 [2 per cell]
P 0.0254 0.6813 0.2542 [6 per cell]
O 0.0495 0.1935 0.7031 [6 per cell]
O 0.1151 0.7167 0.0537 [6 per cell]
O 0.1380 0.5103 0.7411 [6 per cell]
O 0.1560 0.7067 0.4209 [6 per cell]

Properties
E, eV/atom: -6.788
Energy of formation from the pure elements, eV per formula unit: -36.74